MgTi6N4O6 | the Materials Project database | PBE | relaxed; formation energy from the elements = -234.8 kJ per mole of atoms; final energy = -149.3 eV/cell
1.0
5.0456 -1.9022 0.0000
5.0456 1.9022 0.0000
-0.5200 0.0000 10.1074
Mg Ti N O
1 6 4 6
Cartesian
0.0000 0.0000 0.0000
2.9307 0.0000 0.3376
3.4504 0.0000 3.3028
3.3838 0.0000 7.3248
6.1791 0.0000 2.3973
6.0878 0.0000 8.2652
6.7336 0.0000 5.2936
1.5421 0.0000 1.7412
4.2473 0.0000 9.0685
5.2293 0.0000 4.0426
7.7855 0.0000 7.1229
1.3089 0.0000 8.6882
2.2901 0.0000 5.2108
4.4136 0.0000 1.5549
5.1726 0.0000 6.6079
7.9539 0.0000 0.0517
7.9700 0.0000 3.5180

---

MgTi6N4O6 | the Materials Project database | PBE | relaxed; formation energy from the elements = -235.2 kJ per mole of atoms; final energy = -149.3 eV/cell
1.0
4.8866 -2.0073 0.0000
4.8866 2.0073 0.0000
-0.5000 0.0000 9.8719
Mg Ti N O
1 6 4 6
Cartesian
0.0000 0.0000 0.0000
2.6116 0.0000 7.4124
3.1488 0.0000 0.7716
3.2100 0.0000 4.4951
6.0632 0.0000 5.3768
6.1244 0.0000 9.1003
6.6616 0.0000 2.4595
1.3465 0.0000 9.0810
1.5926 0.0000 5.6852
7.6806 0.0000 4.1867
7.9268 0.0000 0.7909
2.0731 0.0000 2.4578
4.1836 0.0000 6.1155
4.0716 0.0000 8.7468
5.2016 0.0000 1.1251
5.0896 0.0000 3.7564
7.2001 0.0000 7.4141